Entry 1:
The following is a DFT calculation (GGA+U) of Mn3Fe2Ge3O12 after structural relaxation.

SG: Ia-3d, No. 230
E_form: -2.00 eV/atom
V: 11.48 A^3/atom

abc: 10.6053 10.6053 10.6053
angles: 109.47 109.47 109.47
Closest atoms and distances in Å follow each position.
Sites, in units of the cell vectors:
O (0.9758, 0.6843, 0.0992)  1 Ge 1.78
O (0.9149, 0.2915, 0.3157)  1 Ge 1.78
O (0.0851, 0.7084, 0.6843)  1 Ge 1.78
O (0.8767, 0.4008, 0.0851)  1 Ge 1.78
O (0.2084, 0.5851, 0.1843)  1 Ge 1.78
O (0.8157, 0.7916, 0.4149)  1 Ge 1.78
O (0.2084, 0.1233, 0.0242)  1 Ge 1.78
O (0.6233, 0.7084, 0.5242)  1 Ge 1.78
O (0.1233, 0.5992, 0.9149)  1 Ge 1.78
O (0.1843, 0.2084, 0.5851)  1 Ge 1.78
O (0.8767, 0.9758, 0.7916)  1 Ge 1.78
O (0.6843, 0.0851, 0.7084)  1 Ge 1.78
O (0.3157, 0.9008, 0.0242)  1 Ge 1.78
O (0.0851, 0.8767, 0.4008)  1 Ge 1.78
O (0.9008, 0.0242, 0.3157)  1 Ge 1.78
O (0.7916, 0.8767, 0.9758)  1 Ge 1.78
O (0.0242, 0.2084, 0.1233)  1 Ge 1.78
O (0.0992, 0.9758, 0.6843)  1 Ge 1.78
O (0.1843, 0.4758, 0.5992)  1 Ge 1.78
O (0.0242, 0.3157, 0.9008)  1 Ge 1.78
O (0.4149, 0.0992, 0.6233)  1 Ge 1.78
O (0.9008, 0.3767, 0.5851)  1 Ge 1.78
O (0.1233, 0.0242, 0.2084)  1 Ge 1.78
O (0.4758, 0.3767, 0.2915)  1 Ge 1.78
O (0.5851, 0.9008, 0.3767)  1 Ge 1.78
O (0.8157, 0.5242, 0.4008)  1 Ge 1.78
O (0.5851, 0.1843, 0.2084)  1 Ge 1.78
O (0.0992, 0.6233, 0.4149)  1 Ge 1.78
O (0.7084, 0.5242, 0.6233)  1 Ge 1.78
O (0.3767, 0.2915, 0.4758)  1 Ge 1.78
O (0.6233, 0.4149, 0.0992)  1 Ge 1.78
O (0.2915, 0.3157, 0.9149)  1 Ge 1.78
O (0.6843, 0.0992, 0.9758)  1 Ge 1.78
O (0.4008, 0.0851, 0.8767)  1 Ge 1.78
O (0.4758, 0.5992, 0.1843)  1 Ge 1.78
O (0.3157, 0.9149, 0.2915)  1 Ge 1.78
O (0.7916, 0.4149, 0.8157)  1 Ge 1.78
O (0.7084, 0.6843, 0.0851)  1 Ge 1.78
O (0.4149, 0.8157, 0.7916)  1 Ge 1.78
O (0.9149, 0.1233, 0.5992)  1 Ge 1.78
O (0.9758, 0.7916, 0.8767)  1 Ge 1.78
O (0.3767, 0.5851, 0.9008)  1 Ge 1.78
O (0.5992, 0.1843, 0.4758)  1 Ge 1.78
O (0.5992, 0.9149, 0.1233)  1 Ge 1.78
O (0.2915, 0.4758, 0.3767)  1 Ge 1.78
O (0.5242, 0.4008, 0.8157)  1 Ge 1.78
O (0.5242, 0.6233, 0.7084)  1 Ge 1.78
O (0.4008, 0.8157, 0.5242)  1 Ge 1.78
Mn (0.1250, 0.2500, 0.3750)  8 O 2.34-2.45
Mn (0.6250, 0.2500, 0.8750)  8 O 2.34-2.45
Mn (0.7500, 0.1250, 0.3750)  8 O 2.34-2.45
Mn (0.2500, 0.8750, 0.6250)  8 O 2.34-2.45
Mn (0.2500, 0.3750, 0.1250)  8 O 2.34-2.45
Mn (0.3750, 0.1250, 0.2500)  8 O 2.34-2.45
Mn (0.7500, 0.6250, 0.8750)  8 O 2.34-2.45
Mn (0.8750, 0.6250, 0.2500)  8 O 2.34-2.45
Mn (0.8750, 0.7500, 0.6250)  8 O 2.34-2.45
Mn (0.6250, 0.8750, 0.7500)  8 O 2.34-2.45
Mn (0.3750, 0.7500, 0.1250)  8 O 2.34-2.45
Mn (0.1250, 0.3750, 0.7500)  8 O 2.34-2.45
Ge (0.6250, 0.7500, 0.3750)  4 O 1.78
Ge (0.7500, 0.8750, 0.1250)  4 O 1.78
Ge (0.8750, 0.2500, 0.1250)  4 O 1.78
Ge (0.6250, 0.3750, 0.2500)  4 O 1.78
Ge (0.7500, 0.3750, 0.6250)  4 O 1.78
Ge (0.2500, 0.6250, 0.3750)  4 O 1.78
Ge (0.2500, 0.1250, 0.8750)  4 O 1.78
Ge (0.1250, 0.8750, 0.2500)  4 O 1.78
Ge (0.3750, 0.2500, 0.6250)  4 O 1.78
Ge (0.8750, 0.1250, 0.7500)  4 O 1.78
Ge (0.3750, 0.6250, 0.7500)  4 O 1.78
Ge (0.1250, 0.7500, 0.8750)  4 O 1.78
Fe (0.0000, 0.0000, 0.5000)  6 O 2.03
Fe (0.0000, 0.5000, 0.5000)  6 O 2.03
Fe (0.5000, 0.0000, 0.0000)  6 O 2.03
Fe (0.0000, 0.0000, 0.0000)  6 O 2.03
Fe (0.5000, 0.5000, 0.0000)  6 O 2.03
Fe (0.0000, 0.5000, 0.0000)  6 O 2.03
Fe (0.5000, 0.0000, 0.5000)  6 O 2.03
Fe (0.5000, 0.5000, 0.5000)  6 O 2.03

---

Entry 2:
The following is a DFT calculation (GGA+U) of Mg2Al4FeP4O24 after structural relaxation.

SG: P-1, No. 2
E_form: -2.38 eV/atom
V: 11.63 A^3/atom

abc: 5.1400 7.2724 11.7650
angles: 98.51 88.99 110.49
Closest atoms and distances in Å follow each position.
Sites, in units of the cell vectors:
O (0.8724, 0.6984, 0.9588)  1 Al 1.90, 1 Fe 2.04
O (0.7397, 0.4132, 0.3495)  1 P 1.54
O (0.6109, 0.2138, 0.7465)  1 P 1.54
O (0.2637, 0.0027, 0.1321)  1 P 1.56
O (0.2603, 0.5868, 0.6505)  1 P 1.54
O (0.9169, 0.5439, 0.1559)  2 Al 1.88-1.89
O (0.2716, 0.6158, 0.4385)  1 P 1.52
O (0.2513, 0.0162, 0.8662)  1 P 1.55
O (0.3891, 0.7862, 0.2535)  1 P 1.54
O (0.6475, 0.3028, 0.9669)  1 P 1.53
O (0.0831, 0.4561, 0.8441)  2 Al 1.88-1.89
O (0.8610, 0.6306, 0.7684)  1 Al 1.95, 1 Mg 2.10
O (0.6696, 0.8379, 0.5762)  1 P 1.57
O (0.3525, 0.6972, 0.0331)  1 P 1.53
O (0.0237, 0.1696, 0.6408)  2 Al 1.89
O (0.7284, 0.3842, 0.5615)  1 P 1.52
O (0.7487, 0.9838, 0.1338)  1 P 1.55
O (0.3304, 0.1621, 0.4238)  1 P 1.57
O (0.8044, 0.1177, 0.4140)  1 P 1.57
O (0.7363, 0.9973, 0.8679)  1 P 1.56
O (0.1276, 0.3016, 0.0412)  1 Al 1.90, 1 Fe 2.04
O (0.1390, 0.3694, 0.2316)  1 Al 1.95, 1 Mg 2.10
O (0.9763, 0.8304, 0.3592)  2 Al 1.89
O (0.1956, 0.8823, 0.5860)  1 P 1.57
Mg (0.0456, 0.0800, 0.2700)  6 O 2.08-2.22
Mg (0.9544, 0.9200, 0.7300)  6 O 2.08-2.22
Al (0.0000, 0.5000, 0.0000)  6 O 1.88-1.90
Al (0.9314, 0.3967, 0.6919)  6 O 1.84-1.95
Al (0.0000, 0.0000, 0.5000)  6 O 1.89-1.98
Al (0.0686, 0.6033, 0.3081)  6 O 1.84-1.95
P (0.5669, 0.1373, 0.8628)  4 O 1.53-1.56
P (0.3465, 0.7275, 0.5599)  4 O 1.52-1.57
P (0.6535, 0.2725, 0.4401)  4 O 1.52-1.57
P (0.4331, 0.8627, 0.1372)  4 O 1.53-1.56
Fe (0.0000, 0.0000, 0.0000)  6 O 2.01-2.07

---

Entry 3:
The following is a DFT calculation (GGA+U) of Na5LiFe2P2C2O14 after structural relaxation.

Excess energy over the best structure of this formula in the dataset: 0.0040 eV/atom
SG: P2_1, No. 4
E_form: -2.28 eV/atom
V: 11.87 A^3/atom

abc: 6.6163 8.9831 10.3866
angles: 88.98 90.00 90.00
Closest atoms and distances in Å follow each position.
Sites, in units of the cell vectors:
C (0.2546, 0.9435, 0.1332)  3 O 1.30-1.31
C (0.7546, 0.0565, 0.8668)  3 O 1.30-1.31
C (0.2479, 0.9394, 0.6353)  3 O 1.29-1.31
C (0.7479, 0.0606, 0.3647)  3 O 1.29-1.31
Fe (0.7498, 0.3554, 0.3914)  5 O 2.09-2.25
Fe (0.2479, 0.6446, 0.1065)  5 O 2.09-2.27
Fe (0.2498, 0.6446, 0.6086)  5 O 2.09-2.25
Fe (0.7479, 0.3554, 0.8935)  5 O 2.09-2.27
O (0.7608, 0.5708, 0.8013)  1 P 1.57
O (0.0627, 0.3184, 0.3882)  1 P 1.56
O (0.7499, 0.4336, 0.5882)  1 P 1.54
O (0.9382, 0.6820, 0.6057)  1 P 1.56
O (0.2366, 0.5726, 0.9108)  1 P 1.55
O (0.2663, 0.0874, 0.1398)  1 C 1.30
O (0.4346, 0.3244, 0.8973)  1 P 1.56
O (0.7442, 0.1448, 0.2610)  1 C 1.31
O (0.2501, 0.8767, 0.5226)  1 C 1.31
O (0.7487, 0.1213, 0.9785)  1 C 1.31
O (0.7497, 0.9174, 0.3569)  1 C 1.29
O (0.2497, 0.0826, 0.6431)  1 C 1.29
O (0.7501, 0.1233, 0.4774)  1 C 1.31
O (0.7663, 0.9126, 0.8602)  1 C 1.30
O (0.2487, 0.8787, 0.0215)  1 C 1.31
O (0.7479, 0.1394, 0.7625)  1 C 1.30
O (0.2442, 0.8552, 0.7390)  1 C 1.31
O (0.2499, 0.5664, 0.4118)  1 P 1.54
O (0.9346, 0.6756, 0.1027)  1 P 1.56
O (0.0599, 0.3190, 0.8913)  1 P 1.56
O (0.2518, 0.4326, 0.7014)  1 P 1.56
O (0.7366, 0.4274, 0.0892)  1 P 1.55
O (0.5627, 0.6816, 0.6118)  1 P 1.56
O (0.5599, 0.6810, 0.1087)  1 P 1.56
O (0.2479, 0.8606, 0.2375)  1 C 1.30
O (0.7518, 0.5674, 0.2986)  1 P 1.56
O (0.4382, 0.3180, 0.3943)  1 P 1.56
O (0.2608, 0.4292, 0.1987)  1 P 1.57
P (0.2461, 0.4158, 0.8511)  4 O 1.55-1.56
P (0.7461, 0.5842, 0.1489)  4 O 1.55-1.56
P (0.2527, 0.4120, 0.3490)  4 O 1.54-1.57
P (0.7527, 0.5880, 0.6510)  4 O 1.54-1.57
Na (0.5008, 0.7392, 0.3758)  5 O 2.30-2.53
Na (0.9990, 0.7395, 0.3756)  5 O 2.30-2.47
Na (0.0008, 0.2608, 0.6242)  5 O 2.30-2.53
Na (0.2497, 0.0830, 0.8809)  5 O 2.32-2.54
Na (0.7523, 0.9173, 0.6204)  5 O 2.35-2.50
Na (0.5017, 0.7399, 0.8754)  6 O 2.33-2.59
Na (0.0017, 0.2601, 0.1246)  6 O 2.33-2.59
Na (0.2523, 0.0827, 0.3796)  5 O 2.35-2.50
Na (0.4990, 0.2605, 0.6244)  5 O 2.30-2.47
Na (0.7497, 0.9170, 0.1191)  5 O 2.32-2.54
Li (0.4962, 0.2689, 0.1231)  3 O 2.16-2.27
Li (0.9962, 0.7311, 0.8769)  3 O 2.16-2.27

---

Entry 4:
The following is a DFT calculation (GGA+U) of V3ZnO7 after structural relaxation.

SG: Pnma, No. 62
E_form: -2.30 eV/atom
V: 12.85 A^3/atom

abc: 5.4072 10.1803 10.2750
angles: 90.00 90.00 90.00
Closest atoms and distances in Å follow each position.
Sites, in units of the cell vectors:
V (0.2929, 0.2224, 0.7500)  1 O 1.67
V (0.7847, 0.1848, 0.5300)  1 O 1.68
V (0.2153, 0.8152, 0.0300)  1 O 1.68
V (0.7153, 0.6848, 0.5300)  1 O 1.68
V (0.7153, 0.6848, 0.9700)  1 O 1.68
V (0.7071, 0.7776, 0.2500)  1 O 1.67
V (0.2153, 0.8152, 0.4700)  1 O 1.68
V (0.2847, 0.3152, 0.4700)  1 O 1.68
V (0.7929, 0.2776, 0.2500)  1 O 1.67
V (0.2071, 0.7224, 0.7500)  1 O 1.67
V (0.2847, 0.3152, 0.0300)  1 O 1.68
V (0.7847, 0.1848, 0.9700)  1 O 1.68
O (0.5458, 0.2080, 0.1206)  3 V 2.01-2.03, 1 Zn 2.18
O (0.0458, 0.2920, 0.8794)  3 V 2.01-2.03, 1 Zn 2.18
O (0.0458, 0.2920, 0.6206)  3 V 2.01-2.03, 1 Zn 2.18
O (0.5186, 0.2822, 0.6143)  3 V 1.95-1.98
O (0.9542, 0.7080, 0.1206)  3 V 2.01-2.03, 1 Zn 2.18
O (0.2251, 0.9649, 0.0979)  1 V 1.68
O (0.2749, 0.4649, 0.0979)  1 V 1.68
O (0.0186, 0.2178, 0.1143)  3 V 1.95-1.98
O (0.2251, 0.9649, 0.4021)  1 V 1.68
O (0.4542, 0.7920, 0.6206)  3 V 2.01-2.03, 1 Zn 2.18
O (0.5186, 0.2822, 0.8857)  3 V 1.95-1.98
O (0.8070, 0.4417, 0.2500)  1 V 1.67
O (0.4814, 0.7178, 0.1143)  3 V 1.95-1.98
O (0.4814, 0.7178, 0.3857)  3 V 1.95-1.98
O (0.7749, 0.0351, 0.5979)  1 V 1.68
O (0.9814, 0.7822, 0.6143)  3 V 1.95-1.98
O (0.5458, 0.2080, 0.3794)  3 V 2.01-2.03, 1 Zn 2.18
O (0.7251, 0.5351, 0.5979)  1 V 1.68
O (0.0186, 0.2178, 0.3857)  3 V 1.95-1.98
O (0.9542, 0.7080, 0.3794)  3 V 2.01-2.03, 1 Zn 2.18
O (0.9814, 0.7822, 0.8857)  3 V 1.95-1.98
O (0.2749, 0.4649, 0.4021)  1 V 1.68
O (0.3070, 0.0583, 0.7500)  1 V 1.67
O (0.4542, 0.7920, 0.8794)  3 V 2.01-2.03, 1 Zn 2.18
O (0.7251, 0.5351, 0.9021)  1 V 1.68
O (0.7749, 0.0351, 0.9021)  1 V 1.68
O (0.1930, 0.5583, 0.7500)  1 V 1.67
O (0.6930, 0.9417, 0.2500)  1 V 1.67
Zn (0.1192, 0.5625, 0.2500)  5 O 2.03-2.18
Zn (0.3808, 0.0625, 0.2500)  5 O 2.03-2.18
Zn (0.6192, 0.9375, 0.7500)  5 O 2.03-2.18
Zn (0.8808, 0.4375, 0.7500)  5 O 2.03-2.18

---

Entry 5:
The following is a DFT calculation (GGA+U) of Li5Fe7O3F13 after structural relaxation.

Excess energy over the best structure of this formula in the dataset: 0.0000 eV/atom
SG: P1, No. 1
E_form: -2.50 eV/atom
V: 12.06 A^3/atom

abc: 6.2039 6.2158 10.7033
angles: 90.08 106.54 119.93
Closest atoms and distances in Å follow each position.
Sites, in units of the cell vectors:
O (0.2823, 0.3985, 0.6275)  3 Fe 1.97-2.05, 1 Li 1.98
O (0.2966, 0.9003, 0.1326)  3 Fe 1.92-1.99, 1 Li 2.00
O (0.7509, 0.3547, 0.1302)  4 Fe 1.94-2.10
Li (0.8935, 0.1920, 0.5672)  3 F 1.97-2.05, 1 O 1.98
Li (0.0053, 0.7569, 0.7460)  6 F 2.06-2.12
Li (0.4813, 0.7510, 0.2497)  1 O 2.00, 5 F 2.09-2.24
Li (0.1104, 0.8073, 0.4374)  4 F 1.97-2.07
Li (0.1310, 0.3202, 0.9361)  4 F 1.99-2.12
F (0.2540, 0.8844, 0.6321)  2 Li 1.97-2.08, 2 Fe 2.13-2.16
F (0.7620, 0.6354, 0.8654)  1 Li 2.11, 3 Fe 2.16-2.21
F (0.2541, 0.6467, 0.8704)  2 Li 1.99-2.12, 2 Fe 2.14-2.16
F (0.2576, 0.1201, 0.8638)  2 Li 2.02-2.12, 2 Fe 2.09-2.20
F (0.7600, 0.8657, 0.6310)  2 Li 1.98-2.06, 2 Fe 2.18
F (0.7515, 0.8770, 0.1294)  3 Fe 2.11-2.21, 1 Li 2.24
F (0.7033, 0.5912, 0.3750)  2 Li 2.07-2.24, 2 Fe 2.08-2.13
F (0.2526, 0.3806, 0.1330)  2 Li 1.99-2.14, 2 Fe 2.17-2.18
F (0.7139, 0.0978, 0.8659)  1 Li 2.12, 3 Fe 2.16-2.22
F (0.7456, 0.1099, 0.3728)  2 Li 1.97-2.12, 1 Fe 2.15
F (0.2489, 0.6205, 0.3718)  2 Li 1.98-2.09, 2 Fe 2.15-2.17
F (0.2332, 0.1341, 0.3657)  1 Li 2.02, 3 Fe 2.13-2.23
F (0.7544, 0.3893, 0.6354)  2 Li 2.05-2.11, 2 Fe 2.09-2.25
Fe (0.4953, 0.0016, 0.0062)  2 O 1.98-2.10, 4 F 2.16-2.21
Fe (0.4825, 0.7326, 0.7405)  1 O 1.97, 4 F 2.14-2.18
Fe (0.9200, 0.6815, 0.0776)  2 O 1.92-1.94, 1 F 2.11
Fe (0.4921, 0.2576, 0.7431)  1 O 2.05, 5 F 2.09-2.22
Fe (0.4854, 0.4996, 0.5037)  1 O 1.97, 3 F 2.08-2.18
Fe (0.4973, 0.2413, 0.2433)  2 O 1.99-2.10, 2 F 2.13-2.18
Fe (0.9850, 0.2524, 0.2473)  1 O 1.99, 5 F 2.13-2.17